No. 1
# Sm6Ta2Ti4O21

A geometry-optimized Sm6Ta2Ti4O21 structure (PBE, the Materials Project database).

```
Sm6Ta2Ti4O21
1.0
2.129 -6.136 -3.477
6.921 2.516 -0.212
7.246 -8.535 11.982
Sm Ta Ti O
12 4 8 42
direct
0.336 0.334 0.338
0.664 0.666 0.662
0.000 0.000 0.000
0.826 0.332 0.337
0.174 0.668 0.663
0.500 0.000 0.000
0.666 0.664 0.162
0.000 0.000 0.500
0.334 0.336 0.838
0.668 0.174 0.163
0.000 0.500 0.500
0.332 0.826 0.837
0.832 0.827 0.334
0.168 0.173 0.666
0.173 0.168 0.166
0.827 0.832 0.834
0.500 0.500 0.000
0.000 0.500 0.000
0.338 0.823 0.338
0.662 0.177 0.662
0.500 0.500 0.500
0.823 0.338 0.838
0.177 0.662 0.162
0.500 0.000 0.500
0.531 0.280 0.444
0.862 0.610 0.781
0.193 0.944 0.114
0.720 0.469 0.056
0.056 0.807 0.386
0.390 0.138 0.719
0.326 0.674 0.250
0.668 0.999 0.583
0.001 0.332 0.917
0.927 0.073 0.250
0.251 0.414 0.583
0.586 0.749 0.917
0.924 0.673 0.251
0.251 0.001 0.585
0.582 0.329 0.918
0.327 0.076 0.249
0.671 0.418 0.582
0.999 0.749 0.915
0.807 0.056 0.886
0.138 0.390 0.219
0.469 0.720 0.556
0.610 0.862 0.281
0.944 0.193 0.614
0.280 0.531 0.944
0.999 0.668 0.083
0.332 0.001 0.417
0.674 0.326 0.750
0.414 0.251 0.083
0.749 0.586 0.417
0.073 0.927 0.750
0.418 0.671 0.082
0.749 0.999 0.415
0.076 0.327 0.749
0.001 0.251 0.085
0.329 0.582 0.418
0.673 0.924 0.751
0.709 0.959 0.083
0.041 0.291 0.417
0.375 0.625 0.750
0.625 0.375 0.250
0.959 0.709 0.583
0.291 0.041 0.917
```

Properties
V   12.8 Å³ per atom
E_form   -120.89 eV per formula unit


No. 2
# TaN2

A geometry-optimized TaN2 structure (PBE, the Materials Project database).

```
TaN2
1.0
-2.498 3.646 2.601
-3.893 -0.294 -3.327
-2.216 -3.595 2.911
Ta N
4 8
direct
0.500 0.500 0.000
0.500 0.000 0.500
0.000 0.500 0.500
0.000 0.000 0.000
0.144 0.856 0.356
0.856 0.356 0.144
0.356 0.144 0.856
0.644 0.644 0.644
0.856 0.144 0.644
0.144 0.644 0.856
0.644 0.856 0.144
0.356 0.356 0.356
```

Properties
V   11.2 Å³ per atom
E_form   -1.10 eV per formula unit


No. 3
# LiLaSn2

A geometry-optimized LiLaSn2 structure (PBE, the Materials Project database).

```
LiLaSn2
1.0
2.309 -9.632 0.000
2.309 9.632 0.000
0.000 0.000 4.574
Li La Sn
2 2 4
direct
0.677 0.323 0.250
0.323 0.677 0.750
0.895 0.105 0.250
0.105 0.895 0.750
0.544 0.456 0.250
0.456 0.544 0.750
0.249 0.751 0.250
0.751 0.249 0.750
```

Properties
V   25.4 Å³ per atom
E_form   -2.54 eV per formula unit


No. 4
# Nb2GaCo3

A geometry-optimized Nb2GaCo3 structure (PBE, the Materials Project database).

```
Nb2GaCo3
1.0
-1.058 4.148 -2.416
-3.571 -2.499 2.273
1.242 4.040 6.392
Nb Ga Co
4 2 6
direct
0.333 0.667 0.941
0.667 0.333 0.059
0.667 0.333 0.441
0.333 0.667 0.559
0.000 0.000 0.000
0.000 0.000 0.500
0.827 0.173 0.750
0.827 0.654 0.750
0.346 0.173 0.750
0.173 0.827 0.250
0.173 0.346 0.250
0.654 0.827 0.250
```

Properties
V   13.4 Å³ per atom
E_form   -1.49 eV per formula unit


No. 5
# NaMg14GaO16

A geometry-optimized NaMg14GaO16 structure (PBE, the Materials Project database).

```
NaMg14GaO16
1.0
8.543 0.000 0.000
0.000 8.543 0.000
0.000 0.000 4.290
Na Mg Ga O
1 14 1 16
direct
0.000 0.000 0.000
0.000 0.500 0.000
0.500 0.000 0.000
0.000 0.245 0.500
0.000 0.755 0.500
0.500 0.246 0.500
0.500 0.754 0.500
0.245 0.000 0.500
0.246 0.500 0.500
0.755 0.000 0.500
0.754 0.500 0.500
0.245 0.245 0.000
0.245 0.755 0.000
0.755 0.245 0.000
0.755 0.755 0.000
0.500 0.500 0.000
0.267 0.000 0.000
0.264 0.500 0.000
0.733 0.000 0.000
0.736 0.500 0.000
0.251 0.251 0.500
0.251 0.749 0.500
0.749 0.251 0.500
0.749 0.749 0.500
0.000 0.000 0.500
0.000 0.500 0.500
0.500 0.000 0.500
0.500 0.500 0.500
0.000 0.267 0.000
0.000 0.733 0.000
0.500 0.264 0.000
0.500 0.736 0.000
```

Properties
V   9.8 Å³ per atom
Polymorph energy (0 for the lowest one)   0.011 eV/atom
E_form   -92.87 eV per formula unit


No. 6
# Pr3Re2O10

A geometry-optimized Pr3Re2O10 structure (PBE, the Materials Project database).

```
Pr3Re2O10
1.0
3.740 -4.073 0.589
4.127 3.726 0.113
2.457 0.287 6.707
Pr Re O
3 2 10
direct
0.000 0.000 0.500
0.743 0.257 0.000
0.257 0.743 0.000
0.635 0.635 0.324
0.365 0.365 0.676
0.398 0.877 0.286
0.602 0.123 0.714
0.123 0.602 0.714
0.877 0.398 0.286
0.647 0.647 0.597
0.353 0.353 0.403
0.671 0.671 0.027
0.329 0.329 0.973
0.907 0.907 0.218
0.093 0.093 0.782
```

Properties
V   13.4 Å³ per atom
E_form   -44.68 eV per formula unit


No. 7
# RbP

A geometry-optimized RbP structure (PBE, the Materials Project database).

```
RbP
1.0
-1.006 -3.383 3.530
-4.035 0.533 2.890
-3.882 -3.091 -0.539
Rb P
1 1
direct
0.000 0.000 0.000
0.500 0.500 0.500
```

Properties
V   44.0 Å³ per atom
E_form   1.25 eV per formula unit


No. 8
# Zr2AlFe3

A geometry-optimized Zr2AlFe3 structure (PBE, the Materials Project database).

```
Zr2AlFe3
1.0
-2.528 -4.376 0.000
-5.056 0.000 0.000
0.000 0.000 -8.156
Zr Al Fe
4 2 6
direct
0.333 0.333 0.565
0.667 0.667 0.435
0.667 0.667 0.065
0.333 0.333 0.935
0.000 0.000 0.500
0.000 0.000 0.000
0.828 0.345 0.750
0.345 0.828 0.750
0.828 0.827 0.750
0.172 0.655 0.250
0.655 0.172 0.250
0.172 0.173 0.250
```

Properties
V   15.0 Å³ per atom
Polymorph energy (0 for the lowest one)   0.000 eV/atom
E_form   -2.32 eV per formula unit


Question: Number 3 is which compound?
Answer: LiLaSn2


Question: The highest E_form belongs to which entry?
Answer: RbP


Question: Which value of V does entry 8 give?
Answer: 15.0 Å³ per atom